The following is a DFT calculation (PBE) of crystalline Ba2MgTi2O6 at its relaxed geometry.

POSCAR file:
```
Ba2MgTi2O6
1.0
5.556 -0.268 -3.646
-1.727 4.889 -2.996
-0.376 0.267 6.646
O Ba Ti Mg
6 2 2 1
direct
0.289 0.708 0.962
0.743 0.724 0.977
0.275 0.254 0.509
0.292 0.252 0.963
0.749 0.711 0.419
0.747 0.256 0.979
0.724 0.276 0.553
0.292 0.707 0.414
0.501 0.499 0.998
0.922 0.077 0.154
0.084 0.916 0.833
```

Output
- SG = No. 1
- total energy after the MP2020 corrections (eV per cell) = -83.927
- formation energy from the elements (kJ/mol of atoms) = -289.54
- energy above the lowest structure with this stoichiometry (kcal/mol of atoms) = 0.00
- DFT total energy (eV for the cell shown) = -79.80